No. 1
# Na14Hf3Mg5Si6S6O48 PBE relaxed
# - ΔE_f: -20997 kJ/mol of formula units
# - Raw total energy: -6.535 eV per atom
data_Na14Hf3Mg5Si6S6O48
_symmetry_space_group_name_H-M 'P 1'
_symmetry_Int_Tables_number 1
_cell_length_a 9.103
_cell_length_b 15.787
_cell_length_c 22.488
_cell_angle_alpha 89.68
_cell_angle_beta 89.96
_cell_angle_gamma 89.80
loop_
_symmetry_equiv_pos_as_xyz
'x,y,z'
loop_
_atom_site_label
_atom_site_fract_x
_atom_site_fract_y
_atom_site_fract_z
_atom_site_occupancy
Na1 0.000 0.000 0.000 1
Na2 0.001 0.668 0.329 1
Na3 0.003 0.295 0.333 1
Na4 0.018 0.622 0.000 1
Na5 0.070 0.649 0.669 1
Na6 0.168 0.489 0.079 1
Na7 0.176 0.813 0.252 1
Na8 0.178 0.132 0.417 1
Na9 0.188 0.151 0.918 1
Na10 0.188 0.802 0.749 1
Na11 0.190 0.495 0.582 1
Na12 0.298 0.651 0.169 1
Na13 0.332 0.993 0.842 1
Na14 0.334 0.319 0.504 1
Na15 0.352 0.627 0.500 1
Na16 0.364 0.651 0.832 1
Na17 0.371 0.304 0.832 1
Na18 0.373 0.326 0.170 1
Na19 0.492 0.470 0.671 1
Na20 0.495 0.501 0.991 1
Na21 0.497 0.823 0.671 1
Na22 0.509 0.160 0.333 1
Na23 0.513 0.792 0.339 1
Na24 0.518 0.125 0.000 1
Na25 0.539 0.494 0.341 1
Na26 0.571 0.150 0.669 1
Na27 0.659 0.986 0.080 1
Na28 0.679 0.312 0.753 1
Na29 0.680 0.641 0.914 1
Na30 0.682 0.307 0.248 1
Na31 0.687 0.650 0.415 1
Na32 0.689 0.991 0.579 1
Na33 0.804 0.154 0.163 1
Na34 0.816 0.494 0.841 1
Na35 0.828 0.821 0.496 1
Na36 0.851 0.121 0.500 1
Na37 0.857 0.163 0.831 1
Na38 0.866 0.792 0.834 1
Na39 0.872 0.471 0.161 1
Na40 0.874 0.822 0.175 1
Na41 0.995 0.327 0.673 1
Na42 0.995 0.968 0.661 1
Hf1 0.166 0.816 0.400 1
Hf2 0.182 0.140 0.565 1
Hf3 0.191 0.145 0.065 1
Hf4 0.197 0.811 0.905 1
Hf5 0.677 0.312 0.405 1
Hf6 0.680 0.641 0.564 1
Hf7 0.685 0.989 0.237 1
Hf8 0.689 0.645 0.065 1
Hf9 0.690 0.316 0.903 1
Mg1 0.176 0.496 0.236 1
Mg2 0.180 0.493 0.936 1
Mg3 0.182 0.809 0.599 1
Mg4 0.184 0.144 0.269 1
Mg5 0.184 0.152 0.769 1
Mg6 0.193 0.494 0.440 1
Mg7 0.194 0.811 0.102 1
Mg8 0.204 0.496 0.740 1
Mg9 0.668 0.990 0.940 1
Mg10 0.676 0.644 0.772 1
Mg11 0.680 0.310 0.601 1
Mg12 0.690 0.310 0.099 1
Mg13 0.690 0.657 0.272 1
Mg14 0.691 0.994 0.736 1
Mg15 0.700 0.986 0.438 1
Si1 0.031 0.633 0.835 1
Si2 0.035 0.666 0.506 1
Si3 0.038 0.959 0.507 1
Si4 0.333 0.666 0.008 1
Si5 0.334 0.958 0.005 1
Si6 0.338 0.631 0.335 1
Si7 0.387 0.652 0.671 1
Si8 0.478 0.481 0.837 1
Si9 0.480 0.152 0.173 1
Si10 0.530 0.131 0.835 1
Si11 0.535 0.164 0.506 1
Si12 0.535 0.460 0.505 1
Si13 0.826 0.837 0.338 1
Si14 0.834 0.166 0.004 1
Si15 0.839 0.458 0.007 1
Si16 0.843 0.132 0.338 1
Si17 0.888 0.151 0.672 1
Si18 0.982 0.650 0.171 1
S1 0.040 0.002 0.170 1
S2 0.041 0.296 0.172 1
S3 0.041 0.337 0.835 1
S4 0.328 0.296 0.670 1
S5 0.328 0.337 0.336 1
S6 0.332 0.001 0.672 1
S7 0.390 0.317 0.004 1
S8 0.392 0.984 0.337 1
S9 0.477 0.818 0.504 1
S10 0.537 0.796 0.170 1
S11 0.538 0.501 0.171 1
S12 0.542 0.840 0.835 1
S13 0.828 0.796 0.672 1
S14 0.832 0.501 0.671 1
S15 0.891 0.818 0.003 1
S16 0.894 0.480 0.336 1
S17 0.976 0.981 0.836 1
S18 0.978 0.318 0.504 1
O1 0.001 0.139 0.614 1
O2 0.009 0.828 0.339 1
O3 0.012 0.473 0.999 1
O4 0.016 0.159 0.011 1
O5 0.017 0.150 0.328 1
O6 0.054 0.576 0.894 1
O7 0.062 0.057 0.116 1
O8 0.062 0.387 0.780 1
O9 0.062 0.728 0.446 1
O10 0.065 0.242 0.225 1
O11 0.071 0.058 0.830 1
O12 0.071 0.238 0.509 1
O13 0.072 0.908 0.567 1
O14 0.074 0.904 0.841 1
O15 0.076 0.389 0.494 1
O16 0.079 0.562 0.171 1
O17 0.083 0.737 0.166 1
O18 0.098 0.916 0.164 1
O19 0.100 0.044 0.222 1
O20 0.104 0.250 0.831 1
O21 0.105 0.253 0.119 1
O22 0.105 0.573 0.497 1
O23 0.106 0.059 0.507 1
O24 0.106 0.377 0.888 1
O25 0.110 0.707 0.563 1
O26 0.110 0.732 0.843 1
O27 0.111 0.596 0.776 1
O28 0.113 0.380 0.177 1
O29 0.116 0.916 0.449 1
O30 0.252 0.379 0.673 1
O31 0.253 0.922 0.942 1
O32 0.254 0.708 0.063 1
O33 0.255 0.594 0.276 1
O34 0.256 0.058 0.008 1
O35 0.262 0.918 0.664 1
O36 0.264 0.376 0.389 1
O37 0.267 0.042 0.725 1
O38 0.267 0.253 0.616 1
O39 0.268 0.571 0.000 1
O40 0.269 0.729 0.344 1
O41 0.270 0.250 0.331 1
O42 0.281 0.905 0.060 1
O43 0.285 0.739 0.665 1
O44 0.289 0.565 0.671 1
O45 0.296 0.390 0.996 1
O46 0.298 0.059 0.329 1
O47 0.300 0.237 0.009 1
O48 0.302 0.388 0.281 1
O49 0.303 0.242 0.723 1
O50 0.304 0.725 0.946 1
O51 0.305 0.905 0.341 1
O52 0.306 0.058 0.618 1
O53 0.313 0.571 0.393 1
O54 0.349 0.144 0.829 1
O55 0.352 0.168 0.510 1
O56 0.357 0.466 0.498 1
O57 0.373 0.141 0.113 1
O58 0.374 0.833 0.842 1
O59 0.376 0.165 0.230 1
O60 0.376 0.490 0.175 1
O61 0.377 0.492 0.895 1
O62 0.378 0.806 0.164 1
O63 0.385 0.457 0.777 1
O64 0.386 0.802 0.451 1
O65 0.387 0.828 0.558 1
O66 0.481 0.328 0.058 1
O67 0.485 0.300 0.951 1
O68 0.486 0.998 0.390 1
O69 0.488 0.971 0.283 1
O70 0.490 0.307 0.665 1
O71 0.493 0.669 0.728 1
O72 0.494 0.991 0.675 1
O73 0.496 0.331 0.341 1
O74 0.500 0.640 0.613 1
O75 0.508 0.974 0.999 1
O76 0.514 0.659 0.011 1
O77 0.517 0.639 0.328 1
O78 0.553 0.071 0.893 1
O79 0.561 0.228 0.445 1
O80 0.563 0.557 0.117 1
O81 0.563 0.890 0.780 1
O82 0.564 0.744 0.224 1
O83 0.572 0.404 0.563 1
O84 0.573 0.739 0.510 1
O85 0.575 0.891 0.498 1
O86 0.583 0.565 0.832 1
O87 0.584 0.237 0.166 1
O88 0.588 0.066 0.174 1
O89 0.592 0.396 0.843 1
O90 0.602 0.753 0.831 1
O91 0.603 0.542 0.224 1
O92 0.604 0.558 0.507 1
O93 0.605 0.072 0.496 1
O94 0.607 0.417 0.164 1
O95 0.607 0.754 0.118 1
O96 0.608 0.092 0.776 1
O97 0.608 0.226 0.843 1
O98 0.608 0.880 0.887 1
O99 0.610 0.418 0.444 1
O100 0.611 0.208 0.562 1
O101 0.612 0.881 0.175 1
O102 0.747 0.880 0.394 1
O103 0.754 0.205 0.062 1
O104 0.754 0.418 0.948 1
O105 0.755 0.881 0.677 1
O106 0.757 0.090 0.279 1
O107 0.757 0.557 0.009 1
O108 0.758 0.230 0.340 1
O109 0.761 0.417 0.663 1
O110 0.762 0.741 0.332 1
O111 0.765 0.756 0.617 1
O112 0.768 0.541 0.724 1
O113 0.772 0.070 0.996 1
O114 0.787 0.238 0.666 1
O115 0.791 0.063 0.672 1
O116 0.793 0.409 0.067 1
O117 0.793 0.894 0.276 1
O118 0.797 0.402 0.342 1
O119 0.798 0.554 0.330 1
O120 0.799 0.892 0.993 1
O121 0.800 0.739 0.008 1
O122 0.802 0.742 0.724 1
O123 0.803 0.080 0.397 1
O124 0.803 0.225 0.944 1
O125 0.805 0.558 0.617 1
O126 0.852 0.668 0.510 1
O127 0.853 0.649 0.828 1
O128 0.860 0.969 0.501 1
O129 0.871 0.639 0.112 1
O130 0.873 0.996 0.174 1
O131 0.875 0.328 0.841 1
O132 0.875 0.662 0.228 1
O133 0.879 0.307 0.166 1
O134 0.883 0.301 0.450 1
O135 0.885 0.966 0.782 1
O136 0.885 0.991 0.889 1
O137 0.888 0.330 0.557 1
O138 0.980 0.831 0.057 1
O139 0.982 0.463 0.281 1
O140 0.988 0.801 0.950 1
O141 0.989 0.489 0.388 1
O142 0.990 0.808 0.667 1
O143 0.993 0.490 0.674 1
O144 0.994 0.164 0.730 1

---

No. 2
# Ho5Co19P12 PBE relaxed
# - ΔE_f: -3112 kJ/mol of formula units
# - Raw total energy: -7.089 eV per atom
data_Ho5Co19P12
_symmetry_space_group_name_H-M 'P -6 2 m'
_symmetry_Int_Tables_number 189
_symmetry_space_group_name_Hall 'P -6 -2'
_cell_length_a 11.9639
_cell_length_b 11.9639
_cell_length_c 3.6577
_cell_angle_alpha 90.00
_cell_angle_beta 90.00
_cell_angle_gamma 120.00
loop_
_atom_site_label
_atom_site_fract_x
_atom_site_fract_y
_atom_site_fract_z
_atom_site_occupancy
Ho1 0.0000 0.1875 0.0000 1
Ho2 0.3333 0.6667 0.5000 1
Co1 0.0000 0.0000 0.5000 1
Co2 0.0000 0.5528 0.5000 1
Co3 0.0000 0.7149 0.0000 1
Co4 0.1254 0.4839 0.0000 1
Co5 0.1781 0.8002 0.5000 1
P1 0.0000 0.3681 0.5000 1
P2 0.0000 0.8191 0.5000 1
P3 0.1663 0.6858 0.0000 1

---

No. 3
# CeSe2 PBE relaxed
# - ΔE_f: -538 kJ/mol of formula units
# - Raw total energy: -5.853 eV per atom
data_CeSe2
_symmetry_space_group_name_H-M 'R -3 m'
_symmetry_Int_Tables_number 166
_symmetry_space_group_name_Hall '-R 3 2"'
_cell_length_a 4.3052
_cell_length_b 4.3052
_cell_length_c 18.7862
_cell_angle_alpha 90.00
_cell_angle_beta 90.00
_cell_angle_gamma 120.00
loop_
_atom_site_label
_atom_site_fract_x
_atom_site_fract_y
_atom_site_fract_z
_atom_site_occupancy
Ce1 0.0000 0.0000 0.0000 1
Se1 0.0000 0.0000 0.2568 1

---

No. 4
# OsC3I2O3 PBE relaxed
# - ΔE_f: -728 kJ/mol of formula units
# - Raw total energy: -6.921 eV per atom
data_OsC3I2O3
_symmetry_space_group_name_H-M 'C 1 2/m 1'
_symmetry_Int_Tables_number 12
_cell_length_a 11.196
_cell_length_b 7.804
_cell_length_c 9.836
_cell_angle_alpha 90.00
_cell_angle_beta 107.25
_cell_angle_gamma 90.00
loop_
_symmetry_equiv_pos_as_xyz
'x,y,z'
'-x,-y,-z'
'-x,y,-z'
'x,-y,z'
'x+1/2,y+1/2,z'
'-x+1/2,-y+1/2,-z'
'-x+1/2,y+1/2,-z'
'x+1/2,-y+1/2,z'
loop_
_atom_site_label
_atom_site_fract_x
_atom_site_fract_y
_atom_site_fract_z
_atom_site_occupancy
Os1 0.068 0.000 0.222 1
C1 0.095 0.182 0.357 1
C2 0.237 0.000 0.215 1
I1 0.000 0.240 0.000 1
I2 0.178 0.000 0.769 1
O1 0.108 0.297 0.434 1
O2 0.159 0.500 0.783 1

---

No. 5
# MoAs2 PBE relaxed
# - ΔE_f: -73 kJ/mol of formula units
# - Raw total energy: -6.974 eV per atom
data_MoAs2
_symmetry_space_group_name_H-M 'C 1 2/m 1'
_symmetry_Int_Tables_number 12
_cell_length_a 9.157
_cell_length_b 3.331
_cell_length_c 7.781
_cell_angle_alpha 90.00
_cell_angle_beta 119.18
_cell_angle_gamma 90.00
loop_
_symmetry_equiv_pos_as_xyz
'x,y,z'
'-x,-y,-z'
'-x,y,-z'
'x,-y,z'
'x+1/2,y+1/2,z'
'-x+1/2,-y+1/2,-z'
'-x+1/2,y+1/2,-z'
'x+1/2,-y+1/2,z'
loop_
_atom_site_label
_atom_site_fract_x
_atom_site_fract_y
_atom_site_fract_z
_atom_site_occupancy
Mo1 0.153 0.000 0.201 1
As1 0.098 0.500 0.894 1
As2 0.146 0.000 0.532 1

---

No. 6
# NaErS2 PBE relaxed
# - ΔE_f: -810 kJ/mol of formula units
# - Raw total energy: -5.389 eV per atom
data_NaErS2
_symmetry_space_group_name_H-M 'R -3 m'
_symmetry_Int_Tables_number 166
_symmetry_space_group_name_Hall '-R 3 2"'
_cell_length_a 3.9469
_cell_length_b 3.9469
_cell_length_c 20.0126
_cell_angle_alpha 90.00
_cell_angle_beta 90.00
_cell_angle_gamma 120.00
loop_
_atom_site_label
_atom_site_fract_x
_atom_site_fract_y
_atom_site_fract_z
_atom_site_occupancy
Na1 0.0000 0.0000 0.0000 1
Er1 0.0000 0.0000 0.5000 1
S1 0.0000 0.0000 0.2419 1

---

No. 7
# Ca2Ti5Bi4O18 PBE relaxed
# - ΔE_f: -7993 kJ/mol of formula units
# - Raw total energy: -7.538 eV per atom
data_Ca2Ti5Bi4O18
_symmetry_space_group_name_H-M 'A e a 2'
_symmetry_Int_Tables_number 41
_cell_length_a 5.472
_cell_length_b 48.876
_cell_length_c 5.516
_cell_angle_alpha 90.00
_cell_angle_beta 90.00
_cell_angle_gamma 90.00
loop_
_symmetry_equiv_pos_as_xyz
'x,y,z'
'-x,-y,z'
'-x+1/2,y+1/2,z'
'x+1/2,-y+1/2,z'
'x,y+1/2,z+1/2'
'-x,-y+1/2,z+1/2'
'-x+1/2,y,z+1/2'
'x+1/2,-y,z+1/2'
loop_
_atom_site_label
_atom_site_fract_x
_atom_site_fract_y
_atom_site_fract_z
_atom_site_occupancy
Ca1 0.009 0.040 0.000 1
Ti1 0.000 0.000 0.485 1
Ti2 0.002 0.333 0.982 1
Ti3 0.006 0.422 0.977 1
Bi1 0.009 0.125 0.026 1
Bi2 0.029 0.276 0.493 1
O1 0.065 0.117 0.430 1
O2 0.065 0.297 0.972 1
O3 0.083 0.461 0.932 1
O4 0.196 0.416 0.639 1
O5 0.206 0.071 0.731 1
O6 0.240 0.163 0.207 1
O7 0.244 0.007 0.712 1
O8 0.248 0.249 0.235 1
O9 0.248 0.345 0.218 1

---

No. 8
# NiSn PBE relaxed
# - ΔE_f: -45 kJ/mol of formula units
# - Raw total energy: -5.128 eV per atom
data_NiSn
_symmetry_space_group_name_H-M 'P b a m'
_symmetry_Int_Tables_number 55
_cell_length_a 5.229
_cell_length_b 24.961
_cell_length_c 4.134
_cell_angle_alpha 90.00
_cell_angle_beta 90.00
_cell_angle_gamma 90.00
loop_
_symmetry_equiv_pos_as_xyz
'x,y,z'
'-x,-y,-z'
'-x,-y,z'
'x,y,-z'
'x+1/2,-y+1/2,-z'
'-x+1/2,y+1/2,z'
'-x+1/2,y+1/2,-z'
'x+1/2,-y+1/2,z'
loop_
_atom_site_label
_atom_site_fract_x
_atom_site_fract_y
_atom_site_fract_z
_atom_site_occupancy
Ni1 0.000 0.000 0.000 1
Ni2 0.000 0.500 0.000 1
Ni3 0.003 0.141 0.500 1
Ni4 0.213 0.755 0.500 1
Ni5 0.217 0.606 0.000 1
Sn1 0.001 0.339 0.500 1
Sn2 0.053 0.210 0.000 1
Sn3 0.222 0.910 0.000 1
Sn4 0.245 0.039 0.500 1